[1]
# Sc2Se3O12

Sc2Se3O12 after structural relaxation (PBE, Materials Project).

## Properties
symmetry	P2_1/c (14)
crystal system	monoclinic

a = 9.337 Å, b = 9.069 Å, c = 15.528 Å
α = 55.05°, β = 90.00°, γ = 90.00°
Atoms (fractional coordinates):
O1 0.000 0.602 0.759
O2 0.632 0.126 0.934
O3 0.522 0.059 0.225
O4 0.781 0.533 0.317
O5 0.584 0.334 0.025
O6 0.219 0.467 0.683
O7 0.072 0.676 0.045
O8 0.895 0.672 0.894
O9 0.295 0.799 0.328
O10 0.186 0.033 0.897
O11 0.686 0.967 0.603
O12 0.833 0.763 0.557
O13 0.416 0.666 0.975
O14 0.572 0.324 0.455
O15 0.874 0.983 0.924
O16 0.368 0.874 0.066
O17 0.205 0.799 0.828
O18 0.132 0.874 0.566
O19 0.333 0.237 0.943
O20 0.814 0.967 0.103
O21 0.167 0.237 0.443
O22 0.667 0.763 0.057
O23 0.428 0.676 0.545
O24 0.605 0.672 0.394
O25 0.418 0.608 0.822
O26 0.126 0.017 0.076
O27 0.082 0.608 0.322
O28 0.705 0.201 0.672
O29 0.928 0.324 0.955
O30 0.084 0.666 0.475
O31 0.795 0.201 0.172
O32 0.314 0.033 0.397
O33 0.978 0.059 0.725
O34 0.719 0.533 0.817
O35 0.281 0.467 0.183
O36 0.478 0.941 0.775
O37 0.500 0.398 0.741
O38 0.000 0.398 0.241
O39 0.374 0.017 0.576
O40 0.395 0.328 0.606
O41 0.916 0.334 0.525
O42 0.500 0.602 0.259
O43 0.105 0.328 0.106
O44 0.918 0.392 0.678
O45 0.582 0.392 0.178
O46 0.022 0.941 0.275
O47 0.626 0.983 0.424
O48 0.868 0.126 0.434
Se1 0.620 0.245 0.150
Se2 0.380 0.755 0.850
Se3 0.880 0.245 0.650
Se4 0.615 0.533 0.356
Se5 0.120 0.755 0.350
Se6 0.885 0.533 0.856
Se7 0.248 0.041 0.494
Se8 0.748 0.959 0.006
Se9 0.385 0.467 0.644
Se10 0.115 0.467 0.144
Se11 0.752 0.959 0.506
Se12 0.252 0.041 0.994
Sc1 0.967 0.367 0.384
Sc2 0.533 0.367 0.884
Sc3 0.467 0.633 0.116
Sc4 0.467 0.867 0.385
Sc5 0.033 0.633 0.616
Sc6 0.967 0.133 0.115
Sc7 0.533 0.133 0.615
Sc8 0.033 0.867 0.885

---

[2]
# Na2LuPCO7

Na2LuPCO7 after structural relaxation (PBE, Materials Project).

## Properties
symmetry	P2_1/m (11)
crystal system	monoclinic

a = 6.902 Å, b = 5.275 Å, c = 9.149 Å
α = 89.38°, β = 90.00°, γ = 90.00°
Atoms (fractional coordinates):
O1 0.750 0.190 0.582
O2 0.434 0.802 0.659
O3 0.566 0.198 0.341
O4 0.750 0.537 0.840
O5 0.250 0.296 0.932
O6 0.250 0.463 0.160
O7 0.250 0.810 0.418
O8 0.250 0.412 0.573
O9 0.750 0.588 0.427
O10 0.750 0.704 0.068
O11 0.934 0.198 0.341
O12 0.250 0.045 0.135
O13 0.750 0.955 0.865
O14 0.066 0.802 0.659
Na1 0.001 0.234 0.783
Na2 0.999 0.766 0.217
Na3 0.499 0.234 0.783
Na4 0.501 0.766 0.217
C1 0.250 0.268 0.070
C2 0.750 0.732 0.930
Lu1 0.750 0.779 0.639
Lu2 0.250 0.221 0.361
P1 0.250 0.708 0.580
P2 0.750 0.292 0.420

---

[3]
# Rb2TeCl6

Rb2TeCl6 after structural relaxation (PBE, Materials Project).

## Properties
symmetry	Fm-3m (225)
crystal system	cubic

a = 7.437 Å, b = 7.437 Å, c = 7.437 Å
α = 60.00°, β = 60.00°, γ = 60.00°
Atoms (fractional coordinates):
Rb1 0.750 0.750 0.750
Rb2 0.250 0.250 0.250
Cl1 0.756 0.244 0.756
Cl2 0.244 0.244 0.756
Cl3 0.244 0.756 0.756
Cl4 0.756 0.244 0.244
Cl5 0.244 0.756 0.244
Cl6 0.756 0.756 0.244
Te1 0.000 0.000 0.000

---

[4]
# LiPu2TeO2

LiPu2TeO2 after structural relaxation (PBE, Materials Project).

## Properties
symmetry	Cm (8)
E above lowest polymorph	0.0	meV per atom
crystal system	monoclinic

a = 4.074 Å, b = 4.270 Å, c = 8.159 Å
α = 121.32°, β = 104.47°, γ = 90.00°
Atoms (fractional coordinates):
Pu1 0.684 0.520 0.368
Pu2 0.343 0.334 0.686
O1 0.264 0.678 0.526
O2 0.750 0.150 0.498
Li1 0.081 0.811 0.162
Te1 0.979 0.106 0.955

---

[5]
# Ba

Ba after structural relaxation (PBE, Materials Project).

## Properties
symmetry	Cmcm (63)
E above lowest polymorph	18.7	meV per atom
crystal system	orthorhombic

a = 4.516 Å, b = 4.516 Å, c = 7.368 Å
α = 90.00°, β = 90.00°, γ = 122.32°
Atoms (fractional coordinates):
Ba1 0.351 0.649 0.250
Ba2 0.649 0.351 0.750

---

[6]
# La3Zn

La3Zn after structural relaxation (PBE, Materials Project).

## Properties
symmetry	I4/mmm (139)
crystal system	tetragonal

a = 6.146 Å, b = 6.146 Å, c = 6.146 Å
α = 133.27°, β = 133.27°, γ = 68.23°
Atoms (fractional coordinates):
La1 0.500 0.500 0.000
La2 0.750 0.250 0.500
La3 0.250 0.750 0.500
Zn1 0.000 0.000 0.000

---

| no. | E_tot (eV per atom) | ΔH_f (0 K) (eV/f.u.) |
| --- | --- | --- |
| 1 | -6.37 | -33.998 |
| 2 | -7.09 | -33.398 |
| 3 | -3.07 | -15.134 |
| 4 | -9.30 | -13.675 |
| 5 | -1.90 | 0.019 |
| 6 | -4.08 | -0.244 |